Model P:
LiTe4H4O6F8 PBE optimized geometry; magnetization = 1.00 μB per formula unit
1.0
5.036 0.000 0.000
2.489 6.061 0.000
2.291 -0.705 11.301
Li Te H O F
1 4 4 6 8
Cartesian
0.000 0.000 0.000
2.142 2.271 0.635
4.440 5.196 2.903
5.902 4.293 8.122
5.905 1.617 5.908
3.904 3.847 9.482
4.162 1.807 4.179
7.863 4.724 4.805
7.824 1.675 10.079
3.252 0.904 10.495
1.016 0.104 1.636
4.841 4.080 9.745
5.186 2.640 7.471
4.881 2.417 4.511
8.296 5.539 4.443
4.294 5.217 7.390
3.180 3.635 2.599
2.761 0.914 3.632
4.317 0.554 6.408
3.309 0.676 0.014
7.364 3.201 9.153
5.763 3.734 0.844
6.948 3.444 5.759

---

Model Q:
LiTe4H4O6F8 PBE optimized geometry; magnetization = 1.00 μB per formula unit
1.0
5.038 0.000 0.000
2.514 5.737 0.000
2.019 0.078 11.586
Li Te H O F
1 4 4 6 8
Cartesian
0.000 0.000 0.000
1.163 0.656 2.752
2.431 1.073 8.212
3.607 3.763 5.129
7.095 3.522 10.669
4.466 0.369 11.373
5.292 3.800 6.919
4.087 0.826 6.361
6.300 3.781 1.188
3.217 2.149 9.588
4.631 4.476 6.599
4.345 4.798 3.608
3.559 1.591 6.727
4.433 5.278 0.141
5.990 2.960 0.720
2.765 1.651 3.448
6.412 5.528 8.637
5.241 2.717 4.736
6.098 1.703 11.214
6.483 2.778 7.634
7.568 5.467 5.486
7.180 5.208 1.817
8.734 4.667 10.305

---

Which of them is the least stable? Correct choice: model Q.

---

Model P:
LiAlSiH2O5 PBE optimized geometry; magnetization = 0.00 μB per formula unit
1.0
12.205 0.000 0.000
0.000 7.332 0.000
0.000 0.000 5.425
Li Al Si H O
4 4 4 8 20
Cartesian
1.034 0.110 0.000
5.069 3.776 2.712
7.136 3.556 0.000
11.171 7.222 2.712
2.357 4.542 4.058
3.746 0.876 1.345
8.459 6.456 4.058
9.848 2.790 1.345
2.354 2.939 1.333
3.748 6.605 4.045
8.457 0.727 1.333
9.851 4.393 4.045
0.376 5.354 1.434
1.131 6.349 2.380
4.972 2.683 5.092
5.726 1.688 4.146
6.478 5.644 1.434
7.233 4.649 2.380
11.074 0.983 5.092
11.829 1.978 4.146
0.450 6.306 1.656
1.822 3.843 0.111
1.825 3.602 2.711
1.992 1.322 1.183
2.065 6.357 4.049
4.038 2.690 1.337
4.111 4.988 3.895
4.277 7.268 5.424
4.280 0.176 2.823
5.652 2.639 4.368
6.553 4.693 1.656
7.925 7.156 0.111
7.928 0.064 2.711
8.094 2.344 1.183
8.167 4.642 4.049
10.140 0.976 1.337
10.213 6.010 3.895
10.380 3.730 5.424
10.383 3.490 2.823
11.755 1.027 4.368

---

Model Q:
LiAlSiH2O5 PBE optimized geometry; magnetization = 0.00 μB per formula unit
1.0
12.066 0.000 0.000
0.000 8.866 0.000
0.000 0.000 4.880
Li Al Si H O
4 4 4 8 20
Cartesian
1.419 0.687 0.000
4.614 5.120 2.440
7.452 3.745 0.000
10.647 8.178 2.440
2.718 6.030 0.169
3.316 1.598 2.609
8.751 7.268 0.169
9.349 2.835 2.609
2.458 3.270 3.702
3.575 7.703 1.262
8.491 1.163 3.702
9.608 5.595 1.262
0.873 7.304 3.167
0.950 7.760 1.667
5.083 3.327 4.107
5.160 2.871 0.727
6.906 5.994 3.167
6.984 5.538 1.667
11.116 1.105 4.107
11.193 1.562 0.727
0.435 7.882 2.525
1.689 2.479 2.464
2.003 4.606 4.447
2.044 7.759 0.425
2.902 1.849 4.507
3.131 6.282 2.067
3.989 3.326 2.865
4.030 0.173 2.007
4.344 6.912 0.024
5.598 3.449 0.085
6.468 5.416 2.525
7.722 1.954 2.464
8.036 8.692 4.447
8.077 5.539 0.425
8.935 2.584 4.507
9.164 7.017 2.067
10.022 1.106 2.865
10.063 4.259 2.007
10.377 6.386 0.024
11.631 0.983 0.085

---

Which of them is the least stable? Correct choice: model Q.

---

Model P:
Sr2CuCO5 PBE optimized geometry; magnetization = 0.02 μB per formula unit
1.0
3.705 0.000 0.000
0.000 7.583 0.000
0.000 0.000 4.351
Sr Cu C O
2 1 1 5
Cartesian
0.000 1.716 0.000
0.000 5.867 0.000
1.853 0.000 2.195
1.853 3.792 2.257
0.000 0.000 2.187
1.853 0.000 4.339
1.853 2.651 1.637
1.853 3.792 3.555
1.853 4.933 1.637

---

Model Q:
Sr2CuCO5 PBE optimized geometry; magnetization = 0.00 μB per formula unit
1.0
-3.934 3.934 7.649
3.934 -3.934 7.649
3.934 3.934 -7.649
Sr Cu C O
8 4 4 20
Cartesian
0.000 0.000 1.950
3.934 0.000 2.053
0.000 0.000 5.357
3.934 0.000 5.595
0.000 3.934 2.053
0.000 0.000 9.940
0.000 3.934 5.595
0.000 0.000 13.347
1.967 1.967 -3.824
1.967 -1.967 3.824
-1.967 1.967 3.824
1.967 1.967 3.824
2.072 1.970 0.000
1.965 -1.863 7.649
1.970 5.797 0.000
1.863 1.965 7.649
3.929 -1.976 4.020
2.103 0.658 0.000
5.251 2.065 -1.093
5.910 -0.005 3.628
1.959 0.005 3.628
2.065 2.618 -1.093
3.277 -1.832 7.649
5.251 2.065 1.093
2.065 2.618 1.093
-0.005 1.959 3.628
3.940 1.976 4.020
1.869 1.316 6.556
-1.316 1.869 6.556
0.658 5.766 0.000
1.869 1.316 8.741
1.976 3.929 4.020
-1.976 3.940 4.020
-1.316 1.869 8.741
1.832 3.277 7.649
0.005 5.910 3.628

---

Which of them is the least stable? Correct choice: model P.

---

Model P:
ZrCrCuS4 PBE optimized geometry; magnetization = 3.00 μB per formula unit
1.0
-3.623 3.626 5.053
3.623 -3.626 5.053
3.623 3.626 -5.053
Zr Cr Cu S
2 2 2 8
Cartesian
1.811 1.708 0.000
1.811 -1.708 5.053
0.008 0.000 2.527
-0.008 3.626 2.527
3.623 1.813 3.737
0.000 1.813 6.369
3.572 3.621 -4.967
3.572 3.631 -0.086
-1.645 1.802 2.560
1.645 1.824 2.560
0.051 3.631 0.086
0.051 3.621 4.967
1.645 5.428 2.494
-1.645 5.450 2.494

---

Model Q:
ZrCrCuS4 PBE optimized geometry; magnetization = 3.00 μB per formula unit
1.0
6.059 0.000 0.000
0.000 3.583 0.000
-0.045 0.000 11.694
Zr Cr Cu S
2 2 2 8
Cartesian
0.097 0.000 2.986
5.917 0.000 8.708
2.946 1.791 2.834
3.068 1.791 8.860
0.000 0.000 0.000
3.007 1.791 5.847
1.016 1.791 10.215
1.088 1.791 4.478
2.078 0.000 1.441
2.129 0.000 7.467
3.885 0.000 4.227
3.935 0.000 10.253
4.926 1.791 7.216
4.998 1.791 1.479

---

Which of them is the least stable? Correct choice: model Q.

---

Model P:
Sr2CaI6 PBE optimized geometry; magnetization = 0.00 μB per formula unit
1.0
12.039 -4.032 0.000
12.039 4.032 0.000
0.000 0.000 8.033
Sr Ca I
4 2 12
Cartesian
4.016 0.000 0.000
8.023 0.000 4.016
16.055 0.000 4.016
20.062 0.000 0.000
0.000 0.000 4.016
12.039 0.000 0.000
6.019 1.865 6.025
9.975 2.399 5.669
9.975 1.633 1.652
14.103 2.399 5.669
14.103 1.633 1.652
6.019 -1.865 2.008
18.058 1.865 6.025
9.975 -1.633 6.381
9.975 -2.399 2.364
14.103 -1.633 6.381
14.103 -2.399 2.364
18.058 -1.865 2.008

---

Model Q:
Sr2CaI6 PBE optimized geometry; magnetization = 0.00 μB per formula unit
1.0
13.882 0.000 0.000
-6.941 12.022 0.000
0.000 0.000 7.485
Sr Ca I
6 3 18
Cartesian
-2.153 3.729 0.000
-4.461 7.727 3.743
4.306 0.000 0.000
2.480 4.295 3.743
8.922 0.000 3.743
4.788 8.293 0.000
0.000 0.000 3.743
0.000 8.015 7.453
6.941 4.007 0.032
-4.820 10.514 1.962
-2.064 6.497 1.813
0.245 2.591 1.962
2.121 1.508 5.523
-0.019 5.445 5.635
-2.216 9.316 5.635
-0.282 10.561 1.813
4.724 2.706 1.850
2.346 6.986 1.813
6.659 1.462 5.672
2.235 9.284 5.635
4.877 5.525 5.672
6.922 6.577 1.850
9.176 2.738 1.850
4.575 10.939 1.962
11.516 1.083 5.523
9.287 5.036 5.672
7.186 9.431 5.523

---

Which of them is the least stable? Correct choice: model P.